(1)
GGA-PBE NbSe2Br2, relaxed; crystal system = triclinic
1.0
6.8183 0.0000 0.0000
3.4050 5.9197 0.0000
2.8968 1.6896 7.1763
Br Se Nb
4 4 2
Direct
0.1601 0.4778 0.7856
0.8399 0.5222 0.2144
0.5758 0.6437 0.7849
0.4242 0.3563 0.2151
0.2547 0.9639 0.1250
0.0768 0.0870 0.6936
0.7453 0.0361 0.8750
0.9232 0.9130 0.3064
0.8746 0.2521 0.9998
0.1254 0.7479 0.0002



(2)
GGA-PBE EuB2Ir2, relaxed; crystal system = orthorhombic
1.0
-2.7357 -3.2454 5.7300
-4.2765 1.8531 4.0323
-4.0574 -3.8367 -0.2604
Ir B Eu
4 4 2
Direct
0.3805 0.3805 0.1195
0.1305 0.1305 0.8695
0.1195 0.1195 0.3805
0.8695 0.8695 0.1305
0.8232 0.1768 0.8232
0.1768 0.8232 0.1768
0.4268 0.0732 0.4268
0.0732 0.4268 0.0732
0.7500 0.7500 0.7500
0.5000 0.5000 0.5000



(3)
GGA-PBE LaMg14C, relaxed; total magnetization = 0.0 μB per cell; crystal system = orthorhombic
1.0
6.6177 0.3663 0.0000
-2.9916 5.1817 0.0000
0.0000 0.0000 10.3924
Mg La C
14 1 1
Direct
0.3466 0.1751 0.3828
0.3466 0.6715 0.3828
0.8260 0.1630 0.8632
0.8260 0.1630 0.3868
0.6523 0.3294 0.6250
0.1547 0.3273 0.6250
0.9326 0.7163 0.9714
0.6523 0.8229 0.6250
0.9326 0.7163 0.2786
0.3466 0.6715 0.8672
0.5735 0.2676 0.1250
0.1370 0.8185 0.6250
0.5735 0.8059 0.1250
0.3466 0.1751 0.8672
0.1027 0.3013 0.1250
0.2501 0.8750 0.1250



(4)
GGA-PBE La8Sb2S15, relaxed; total magnetization = 0.0 μB per cell; crystal system = tetragonal
1.0
7.6952 -12.9734 0.6812
-4.2518 0.4940 14.4799
-11.1614 0.5053 -10.1567
La S Sb
32 60 8
Direct
0.8947 0.4032 0.7932
0.9193 0.2840 0.3233
0.4606 0.7840 0.3647
0.0340 0.2106 0.8647
0.3515 0.3600 0.7068
0.3460 0.1693 0.1353
0.8460 0.7106 0.1767
0.2184 0.5493 0.6303
0.8515 0.1447 0.9915
0.1155 0.6841 0.1568
0.7184 0.0881 0.6691
0.2087 0.2773 0.3432
0.2993 0.1690 0.8309
0.5273 0.9587 0.8432
0.6155 0.4587 0.4314
0.7993 0.9684 0.1303
0.3381 0.4684 0.1691
0.5340 0.6693 0.8233
0.4341 0.7773 0.0686
0.8381 0.6690 0.8697
0.1100 0.9032 0.5085
0.4193 0.0960 0.6353
0.9606 0.5960 0.6767
0.3947 0.6015 0.4915
0.4190 0.0493 0.3309
0.1532 0.8600 0.0085
0.7087 0.3655 0.9314
0.9190 0.5881 0.3697
0.0273 0.1841 0.5686
0.6100 0.1015 0.2068
0.9341 0.8655 0.6568
0.6532 0.6447 0.2932
0.6635 0.2800 0.6895
0.7265 0.5269 0.1474
0.8291 0.1295 0.3526
0.2283 0.9170 0.3918
0.8790 0.3679 0.1640
0.4650 0.1290 0.0111
0.0866 0.2752 0.1082
0.2240 0.3405 0.8105
0.0365 0.6332 0.9140
0.9367 0.7885 0.8082
0.4367 0.6285 0.1481
0.9650 0.9539 0.3360
0.8832 0.7865 0.4140
0.5252 0.8366 0.6082
0.0252 0.4170 0.6886
0.8023 0.6255 0.4926
0.6329 0.1255 0.8231
0.1329 0.3097 0.5074
0.4804 0.2885 0.8519
0.2498 0.2498 0.0000
0.3023 0.8097 0.1769
0.8785 0.1867 0.6481
0.2192 0.1332 0.5966
0.1670 0.9783 0.8918
0.2769 0.6295 0.3004
0.8755 0.5523 0.9926
0.3726 0.4692 0.5860
0.5365 0.6226 0.4034
0.5385 0.2304 0.3519
0.4998 0.9998 0.5000
0.3755 0.3829 0.3231
0.6179 0.6290 0.6640
0.3785 0.7304 0.6918
0.1635 0.4740 0.3836
0.7498 0.7498 0.0000
0.3790 0.2150 0.5111
0.0597 0.0523 0.6769
0.5905 0.9740 0.3105
0.1179 0.4539 0.9889
0.5866 0.4783 0.8114
0.7240 0.9135 0.8836
0.5597 0.8829 0.0074
0.0300 0.8405 0.1164
0.7283 0.3366 0.3114
0.2265 0.0791 0.1996
0.8795 0.0269 0.8004
0.8726 0.2865 0.9034
0.2039 0.7150 0.8360
0.9804 0.1285 0.1918
0.5300 0.4135 0.1895
0.9998 0.4998 0.5000
0.3291 0.9765 0.6996
0.7192 0.1226 0.0860
0.3832 0.9692 0.0966
0.0905 0.7800 0.6164
0.6670 0.7752 0.1886
0.7039 0.8679 0.4889
0.3795 0.5791 0.8526
0.7769 0.4765 0.6474
0.0385 0.6867 0.3082
0.5515 0.3697 0.6112
0.2585 0.8697 0.8181
0.7585 0.9403 0.3888
0.1903 0.5085 0.8888
0.6903 0.8015 0.6819
0.0515 0.4403 0.1819
0.6197 0.3015 0.1112
0.1197 0.0085 0.3181



(5)
GGA-PBE GdZrRu2, relaxed; crystal system = cubic
1.0
0.0000 3.3530 3.3530
3.3530 0.0000 3.3530
3.3530 3.3530 0.0000
Zr Ru Gd
1 2 1
Direct
0.0000 0.0000 0.0000
0.7500 0.7500 0.7500
0.2500 0.2500 0.2500
0.5000 0.5000 0.5000



(6)
GGA-PBE Tm2Fe17C3, relaxed; total magnetization = 70.0 μB per cell; crystal system = hexagonal
1.0
0.0000 0.0000 -8.3280
-4.2996 -7.4471 0.0000
-4.2996 7.4471 0.0000
Fe C Tm
34 6 4
Direct
0.7500 0.3258 0.9479
0.5200 0.3359 0.1679
0.5000 0.5000 0.0000
0.7500 0.6220 0.9479
0.0000 0.0000 0.5000
0.9800 0.8321 0.6641
0.9800 0.3359 0.1679
0.5000 0.0000 0.5000
0.4800 0.6641 0.8321
0.0200 0.1679 0.3359
0.7500 0.6220 0.6742
0.2500 0.3780 0.0521
0.2500 0.6742 0.0521
0.0200 0.6641 0.8321
0.5000 0.5000 0.5000
0.4800 0.1679 0.8321
0.4800 0.1679 0.3359
0.7500 0.0521 0.3780
0.2500 0.9479 0.3258
0.9800 0.8321 0.1679
0.2500 0.6742 0.6220
0.0000 0.5000 0.5000
0.2500 0.9479 0.6220
0.6068 0.3333 0.6667
0.7500 0.0521 0.6742
0.3932 0.6667 0.3333
0.0200 0.1679 0.8321
0.5200 0.8321 0.6641
0.8932 0.3333 0.6667
0.2500 0.3780 0.3258
0.0000 0.5000 0.0000
0.1068 0.6667 0.3333
0.5200 0.8321 0.1679
0.7500 0.3258 0.3780
0.7500 0.8345 0.6691
0.2500 0.6691 0.8345
0.2500 0.1655 0.3309
0.7500 0.8345 0.1655
0.2500 0.1655 0.8345
0.7500 0.3309 0.1655
0.2500 0.0000 0.0000
0.2500 0.3333 0.6667
0.7500 0.0000 0.0000
0.7500 0.6667 0.3333



(7)
GGA-PBE Rb2HoCl5, relaxed; crystal system = orthorhombic
1.0
7.4282 0.0000 0.0000
0.0000 9.5796 0.0000
0.0000 0.0000 14.9278
Cl Ho Rb
20 4 8
Direct
0.2500 0.7871 0.4031
0.5000 0.5000 0.5000
0.5073 0.3350 0.8814
0.0000 0.0000 0.0000
0.5000 0.0000 0.0000
0.0073 0.6650 0.1186
0.9927 0.8350 0.6186
0.4927 0.6650 0.1186
0.2500 0.5193 0.7046
0.2500 0.2871 0.0969
0.2500 0.0193 0.7954
0.4927 0.1650 0.3814
0.5073 0.8350 0.6186
0.7500 0.2129 0.5969
0.0000 0.5000 0.5000
0.0073 0.1650 0.3814
0.9927 0.3350 0.8814
0.7500 0.4807 0.2954
0.7500 0.7129 0.9031
0.7500 0.9807 0.2046
0.2500 0.1793 0.9343
0.7500 0.3207 0.4343
0.7500 0.8207 0.0657
0.2500 0.6793 0.5657
0.2500 0.4767 0.2874
0.2500 0.6639 0.9168
0.7500 0.8361 0.4168
0.2500 0.1639 0.5832
0.7500 0.3361 0.0832
0.7500 0.0233 0.7874
0.7500 0.5233 0.7126
0.2500 0.9767 0.2126



(8)
GGA-PBE CsSr3, relaxed; total magnetization = 0.1 μB per cell; crystal system = cubic
1.0
6.3404 0.0000 0.0000
0.0000 6.3404 0.0000
0.0000 0.0000 6.3404
Sr Cs
3 1
Direct
0.5000 0.0000 0.5000
0.0000 0.5000 0.5000
0.5000 0.5000 0.0000
0.0000 0.0000 0.0000



(9)
GGA-PBE BaGa2B2O7, relaxed; total magnetization = 0.0 μB per cell; crystal system = orthorhombic
1.0
4.3916 -5.9360 0.0000
4.3916 5.9360 0.0000
0.0000 0.0000 5.9274
Ga O Ba B
4 14 2 4
Direct
0.1305 0.7113 0.7500
0.8695 0.2887 0.2500
0.7113 0.1305 0.7500
0.2887 0.8695 0.2500
0.5111 0.9071 0.7500
0.8655 0.1345 0.0000
0.6677 0.6677 0.7500
0.4130 0.6785 0.2500
0.8655 0.1345 0.5000
0.6785 0.4130 0.2500
0.5870 0.3215 0.7500
0.9071 0.5111 0.7500
0.3215 0.5870 0.7500
0.1345 0.8655 0.0000
0.3323 0.3323 0.2500
0.4889 0.0929 0.2500
0.1345 0.8655 0.5000
0.0929 0.4889 0.2500
0.8056 0.8056 0.2500
0.1944 0.1944 0.7500
0.2809 0.5023 0.2500
0.4977 0.7191 0.7500
0.5023 0.2809 0.2500
0.7191 0.4977 0.7500



(10)
GGA-PBE Li3CuF6, relaxed; crystal system = monoclinic
1.0
-3.5245 -7.1903 2.7391
0.1233 -6.7510 -5.1023
8.6440 -3.5730 3.8209
Li F Cu
18 36 6
Direct
0.6292 0.3252 0.0392
0.5430 0.1240 0.5516
0.9401 0.6570 0.4321
0.2889 0.9944 0.7325
0.3252 0.6292 0.5392
0.6748 0.3708 0.4608
0.9944 0.2889 0.2325
0.0056 0.7111 0.7675
0.6570 0.9401 0.9321
0.1879 0.8121 0.2500
0.3430 0.0599 0.0679
0.3708 0.6748 0.9608
0.1240 0.5430 0.0516
0.8121 0.1879 0.7500
0.8760 0.4570 0.9484
0.7111 0.0056 0.2675
0.4570 0.8760 0.4484
0.0599 0.3430 0.5679
0.5653 0.2458 0.6971
0.5688 0.8908 0.6105
0.0942 0.7621 0.4345
0.4312 0.1092 0.3895
0.2263 0.2691 0.1629
0.5839 0.8936 0.1075
0.2385 0.9142 0.5639
0.9058 0.2379 0.5655
0.5569 0.2402 0.1954
0.2379 0.9058 0.0655
0.7598 0.4431 0.3046
0.4120 0.4298 0.9333
0.2458 0.5653 0.1971
0.7621 0.0942 0.9345
0.4431 0.7598 0.8046
0.8936 0.5839 0.6075
0.4161 0.1064 0.8925
0.4298 0.4120 0.4333
0.0809 0.0640 0.3345
0.7615 0.0858 0.4361
0.7309 0.7737 0.3371
0.2402 0.5569 0.6954
0.1064 0.4161 0.3925
0.5880 0.5702 0.0667
0.0640 0.0809 0.8345
0.8908 0.5688 0.1105
0.9191 0.9360 0.6655
0.1092 0.4312 0.8895
0.7737 0.7309 0.8371
0.0858 0.7615 0.9361
0.2691 0.2263 0.6629
0.5702 0.5880 0.5667
0.9360 0.9191 0.1655
0.9142 0.2385 0.0639
0.7542 0.4347 0.8029
0.4347 0.7542 0.3029
0.0000 0.0000 0.5000
0.3347 0.3389 0.2957
0.0000 0.0000 0.0000
0.6653 0.6611 0.7043
0.3389 0.3347 0.7957
0.6611 0.6653 0.2043



(11)
GGA-PBE Ba5Y3F19, relaxed; total magnetization = 0.0 μB per cell; crystal system = tetragonal
1.0
11.4185 -2.5486 2.4128
-10.7487 -1.0772 5.0996
-1.5775 -8.2444 -8.4995
F Y Ba
38 6 10
Direct
0.9122 0.5696 0.1634
0.2424 0.0216 0.6303
0.0216 0.3913 0.7792
0.6322 0.9886 0.5000
0.1322 0.6322 0.6437
0.3475 0.8475 0.2902
0.9484 0.7542 0.9890
0.4886 0.1322 0.5000
0.5696 0.4063 0.6575
0.2260 0.2570 0.5000
0.6122 0.2424 0.2208
0.7652 0.9594 0.0110
0.3913 0.6122 0.3697
0.7542 0.7652 0.8058
0.5216 0.7424 0.6303
0.4063 0.7488 0.8366
0.2488 0.9063 0.8366
0.4122 0.2488 0.3425
0.2542 0.4484 0.9890
0.4484 0.4594 0.1942
0.0573 0.3475 0.5000
0.5573 0.0573 0.7098
0.9594 0.9484 0.1942
0.8913 0.5216 0.7792
0.7424 0.1122 0.2208
0.9886 0.4886 0.3563
0.9063 0.0696 0.6575
0.7570 0.7260 0.5000
0.0696 0.4122 0.1634
0.7260 0.2260 0.9690
0.0858 0.0858 0.0000
0.8475 0.5573 0.5000
0.2570 0.7570 0.0310
0.2652 0.2542 0.8058
0.1122 0.8913 0.3697
0.5858 0.5858 0.0000
0.7488 0.9122 0.3425
0.4594 0.2652 0.0110
0.3329 0.3329 0.0000
0.8329 0.8329 0.0000
0.8354 0.3354 0.1643
0.6711 0.8354 0.5000
0.1711 0.6711 0.8357
0.3354 0.1711 0.5000
0.8093 0.3093 0.5000
0.9310 0.7538 0.6976
0.4310 0.7334 0.1772
0.2538 0.4310 0.6976
0.3093 0.8093 0.5000
0.7334 0.5562 0.3024
0.0562 0.2334 0.3024
0.7538 0.0562 0.8228
0.2334 0.9310 0.1772
0.5562 0.2538 0.8228



no.,energy of formation from the pure elements (eV/f.u.)
1,-4.88
2,-3.44
3,3.04
4,-52.84
5,-1.74
6,-1.97
7,-20.33
8,0.69
9,-33.16
10,-26.08
11,-113.92